# 1
{"formula": "MgVO3", "functional": "PBE with a Hubbard U", "state": "optimized geometry", "lattice_angstrom": [[5.093, 0.000, 0.000], [0.000, 5.250, 0.000], [0.000, 0.000, 7.450]], "species": ["Mg", "O", "V", "V", "O", "Mg", "O", "O", "O", "O", "O", "O", "Mg", "O", "V", "O", "O", "O", "V", "Mg"], "fractional_positions": [[0.991, 0.945, 0.250], [0.177, 0.806, 0.564], [0.000, 0.500, 0.000], [0.000, 0.500, 0.500], [0.125, 0.562, 0.250], [0.491, 0.555, 0.750], [0.375, 0.062, 0.250], [0.677, 0.694, 0.064], [0.625, 0.938, 0.750], [0.323, 0.306, 0.936], [0.177, 0.806, 0.936], [0.677, 0.694, 0.436], [0.509, 0.445, 0.250], [0.823, 0.194, 0.436], [0.500, 0.000, 0.500], [0.875, 0.438, 0.750], [0.823, 0.194, 0.064], [0.323, 0.306, 0.564], [0.500, 0.000, 0.000], [0.009, 0.055, 0.750]], "mass_density_g_cm3": 4.11, "m_tot_mub_per_fu": 1.00, "formation_enthalpy_0k_ev_per_atom": -2.682, "sg": "Pnma (62)"}



# 2
{"formula": "Li3Ti3FeP6O24", "functional": "PBE with a Hubbard U", "state": "optimized geometry", "lattice_angstrom": [[-1.274, -8.223, 2.434], [-1.201, -6.159, -6.081], [6.187, -5.967, -1.434]], "species": ["P", "O", "Li", "O", "O", "P", "P", "Fe", "O", "O", "O", "P", "O", "O", "Ti", "P", "P", "O", "O", "O", "O", "O", "O", "O", "O", "O", "O", "Ti", "O", "O", "Li", "O", "O", "O", "Ti", "O", "Li"], "fractional_positions": [[0.746, 0.462, 0.044], [0.281, 0.513, 0.141], [0.269, 0.874, 0.664], [0.578, 0.452, 0.227], [0.400, 0.576, 0.782], [0.455, 0.038, 0.751], [0.042, 0.752, 0.463], [0.641, 0.635, 0.641], [0.909, 0.275, 0.070], [0.190, 0.379, 0.011], [0.141, 0.283, 0.504], [0.243, 0.542, 0.973], [0.470, 0.878, 0.713], [0.009, 0.799, 0.629], [0.140, 0.146, 0.139], [0.533, 0.978, 0.249], [0.967, 0.250, 0.536], [0.070, 0.914, 0.275], [0.510, 0.150, 0.276], [0.275, 0.075, 0.918], [0.800, 0.629, 0.996], [0.786, 0.416, 0.560], [0.632, 0.987, 0.796], [0.539, 0.802, 0.423], [0.729, 0.947, 0.085], [0.702, 0.481, 0.882], [0.943, 0.081, 0.727], [0.852, 0.856, 0.856], [0.374, 0.017, 0.190], [0.002, 0.194, 0.377], [0.944, 0.780, 0.199], [0.220, 0.580, 0.451], [0.072, 0.730, 0.951], [0.447, 0.220, 0.581], [0.363, 0.367, 0.369], [0.873, 0.715, 0.487], [0.787, 0.201, 0.935]], "mass_density_g_cm3": 2.80, "polymorph_energy_mev_per_atom": 13, "m_tot_mub_per_fu": 5.00, "formation_enthalpy_0k_ev_per_atom": -2.855, "sg": "P1 (1)"}



# 3
{"formula": "LiVPO4", "functional": "PBE with a Hubbard U", "state": "optimized geometry", "lattice_angstrom": [[-4.667, -0.462, 1.610], [3.165, -5.533, 7.586], [0.851, 5.954, 3.988]], "species": ["P", "V", "O", "O", "O", "V", "O", "Li", "O", "O", "P", "V", "O", "O", "O", "V", "O", "Li", "Li", "P", "O", "O", "O", "Li", "O", "P", "O", "O"], "fractional_positions": [[0.692, 0.095, 0.732], [0.270, 0.614, 0.484], [0.387, 0.127, 0.740], [0.827, 0.186, 0.587], [0.327, 0.314, 0.087], [0.229, 0.114, 0.016], [0.197, 0.880, 0.060], [0.200, 0.170, 0.513], [0.613, 0.873, 0.260], [0.697, 0.620, 0.560], [0.808, 0.595, 0.768], [0.770, 0.886, 0.984], [0.753, 0.944, 0.699], [0.803, 0.120, 0.940], [0.887, 0.373, 0.240], [0.729, 0.386, 0.516], [0.113, 0.627, 0.760], [0.700, 0.330, 0.013], [0.800, 0.830, 0.487], [0.192, 0.405, 0.232], [0.253, 0.556, 0.199], [0.303, 0.380, 0.440], [0.247, 0.056, 0.301], [0.300, 0.670, 0.987], [0.747, 0.444, 0.801], [0.308, 0.905, 0.268], [0.173, 0.814, 0.413], [0.673, 0.685, 0.913]], "mass_density_g_cm3": 2.86, "polymorph_energy_mev_per_atom": 76, "m_tot_mub_per_fu": 0.00, "formation_enthalpy_0k_ev_per_atom": -2.567, "sg": "P2_1/c (14)"}



# 4
{"formula": "Li5Mn7O12", "functional": "PBE with a Hubbard U", "state": "optimized geometry", "lattice_angstrom": [[4.549, 2.612, 0.000], [-4.549, 2.612, 0.000], [0.000, 1.763, 9.816]], "species": ["Mn", "Li", "Mn", "O", "Mn", "O", "O", "O", "O", "Li", "O", "Mn", "Mn", "O", "O", "O", "Li", "O", "O", "Mn", "O", "Li", "Mn", "Li"], "fractional_positions": [[0.579, 0.421, 0.500], [0.336, 0.158, 0.247], [0.751, 0.249, 0.000], [0.890, 0.392, 0.618], [0.921, 0.079, 0.500], [0.608, 0.110, 0.382], [0.960, 0.782, 0.369], [0.775, 0.982, 0.881], [0.388, 0.872, 0.119], [0.842, 0.664, 0.753], [0.128, 0.612, 0.881], [0.491, 0.998, 0.756], [0.422, 0.578, 0.000], [0.549, 0.724, 0.625], [0.218, 0.040, 0.631], [0.482, 0.294, 0.885], [0.085, 0.915, 0.000], [0.018, 0.225, 0.119], [0.276, 0.451, 0.375], [0.250, 0.750, 0.500], [0.706, 0.518, 0.115], [0.156, 0.332, 0.755], [0.002, 0.509, 0.244], [0.668, 0.844, 0.245]], "mass_density_g_cm3": 4.35, "m_tot_mub_per_fu": 30.00, "formation_enthalpy_0k_ev_per_atom": -2.088, "sg": "C2 (5)"}